[1]
MgTe4Mo2W2S4 | PBE | optimized geometry

Summary:
total magnetization = 0.0 μB per cell
E above lowest polymorph = 9 meV per atom

Unit cell a=3.3589 b=3.3622 c=44.0056 alpha=90.00 beta=90.00 gamma=119.97
With the nearest neighbours (Å) after each atom.
Sites, in units of the cell vectors:
S (0.3335, 0.6670, 0.3124)  3 Mo 2.48
Te (0.3334, 0.6667, 0.6148)  3 W 2.72
S (0.3335, 0.6670, 0.2433)  3 Mo 2.45
S (0.6667, 0.3333, 0.4422)  3 W 2.46-2.47
Te (0.6666, 0.3332, 0.0508)  3 Mo 2.71
W (0.3334, 0.6668, 0.4767)  6 S 2.46-2.47
Mg (0.9999, 0.9998, 0.3671)  3 S 3.09, 6 Mg 3.36
Mo (0.3335, 0.6670, 0.0938)  6 Te 2.71
Mo (0.6667, 0.3335, 0.2773)  6 S 2.45-2.48
Te (0.6666, 0.3331, 0.1368)  3 Mo 2.71
Te (0.3333, 0.6665, 0.7011)  3 W 2.72
S (0.6666, 0.3332, 0.5111)  3 W 2.46
W (0.6664, 0.3329, 0.6580)  6 Te 2.72



[2]
K2RbScBr6 | PBE | optimized geometry

Summary:
total magnetization = 0.0 μB per cell
calculated total energy = -36.24 eV/cell

Unit cell a=8.3288 b=8.3288 c=8.3288 alpha=60.00 beta=60.00 gamma=60.00
With the nearest neighbours (Å) after each atom.
Sites, in units of the cell vectors:
Rb (0.5000, 0.5000, 0.5000)  6 Br 3.23
Br (0.2254, 0.7746, 0.2254)  1 Sc 2.65
Br (0.7746, 0.2254, 0.7746)  1 Sc 2.65
Sc (0.0000, 0.0000, 0.0000)  6 Br 2.65
Br (0.2254, 0.7746, 0.7746)  1 Sc 2.65
Br (0.7746, 0.7746, 0.2254)  1 Sc 2.65
K (0.7500, 0.7500, 0.7500)  12 Br 4.17
Br (0.2254, 0.2254, 0.7746)  1 Sc 2.65
K (0.2500, 0.2500, 0.2500)  12 Br 4.17
Br (0.7746, 0.2254, 0.2254)  1 Sc 2.65



[3]
IrPt | PBE | optimized geometry

Summary:
total magnetization = 0.0 μB per cell
calculated total energy = -14.75 eV/cell

Unit cell a=4.7783 b=4.7783 c=4.7783 alpha=33.88 beta=33.88 gamma=33.88
With the nearest neighbours (Å) after each atom.
Sites, in units of the cell vectors:
Pt (0.5000, 0.5000, 0.5000)  6 Ir 2.77, 6 Pt 2.78
Ir (0.0000, 0.0000, 0.0000)  6 Pt 2.77, 6 Ir 2.78



[4]
LuAl3 | PBE | optimized geometry

Summary:
calculated total energy = -34.56 eV/cell

Unit cell a=6.1294 b=6.1294 c=4.6475 alpha=90.00 beta=90.00 gamma=120.00
With the nearest neighbours (Å) after each atom.
Sites, in units of the cell vectors:
Al (0.8493, 0.6985, 0.7500)  6 Al 2.77-2.82, 4 Lu 3.03-3.07
Al (0.6985, 0.8493, 0.2500)  6 Al 2.77-2.82, 4 Lu 3.03-3.07
Al (0.8493, 0.1507, 0.7500)  6 Al 2.77-2.82, 4 Lu 3.03-3.07
Al (0.3015, 0.1507, 0.7500)  6 Al 2.77-2.82, 4 Lu 3.03-3.07
Lu (0.6667, 0.3333, 0.2500)  12 Al 3.03-3.07
Al (0.1507, 0.3015, 0.2500)  6 Al 2.77-2.82, 4 Lu 3.03-3.07
Lu (0.3333, 0.6667, 0.7500)  12 Al 3.03-3.07
Al (0.1507, 0.8493, 0.2500)  6 Al 2.77-2.82, 4 Lu 3.03-3.07



[5]
Zn2P2H12O11 | PBE | optimized geometry

Summary:
total magnetization = 0.0 μB per cell
calculated total energy = -285.79 eV/cell

Unit cell a=7.6481 b=7.7924 c=9.5409 alpha=88.14 beta=89.25 gamma=87.07
With the nearest neighbours (Å) after each atom.
Sites, in units of the cell vectors:
O (0.9981, 0.8801, 0.2037)  2 H 0.99-1.00
H (0.2655, 0.2688, 0.5542)  1 O 0.99
O (0.5925, 0.2581, 0.4525)  1 P 1.52
O (0.7130, 0.9704, 0.3741)  1 P 1.56
O (0.7571, 0.6058, 0.4642)  2 H 0.99
H (0.9022, 0.5331, 0.6744)  1 O 0.98
H (0.9347, 0.3147, 0.1351)  1 O 0.98
H (0.5393, 0.3790, 0.7690)  1 O 1.00
H (0.8957, 0.0827, 0.7487)  1 O 1.00
H (0.0978, 0.4669, 0.3256)  1 O 0.98
O (0.5383, 0.7925, 0.1367)  1 P 1.54, 1 H 1.71
O (0.5072, 0.2202, 0.1308)  1 P 1.57
H (0.8956, 0.9192, 0.2616)  1 O 0.99
Zn (0.4988, 0.0030, 0.2499)  4 O 1.98-2.03
O (0.0019, 0.1199, 0.7963)  2 H 0.99-1.00
H (0.1044, 0.0808, 0.7384)  1 O 0.99
O (0.7154, 0.0345, 0.6371)  1 P 1.55
O (0.9993, 0.5157, 0.7397)  2 H 0.98-0.99
P (0.3718, 0.2209, 0.0085)  1 H 1.42, 3 O 1.52-1.57
H (0.2876, 0.3869, 0.0067)  1 P 1.42
H (0.9685, 0.4150, 0.7986)  1 O 0.99
H (0.8970, 0.1697, 0.4735)  1 P 1.42
O (0.7591, 0.9150, 0.9585)  1 P 1.52
O (0.0007, 0.4843, 0.2603)  2 H 0.98-0.99
Zn (0.5012, 0.9970, 0.7501)  4 O 1.98-2.03
O (0.2429, 0.3942, 0.5358)  2 H 0.99
H (0.2484, 0.7573, 0.9067)  1 O 0.98
P (0.7251, 0.1115, 0.4860)  1 H 1.42, 3 O 1.52-1.56
O (0.4928, 0.7798, 0.8692)  1 P 1.57
H (0.5373, 0.5854, 0.7582)  1 O 0.99
H (0.0653, 0.6853, 0.8649)  1 O 0.98
H (0.1723, 0.4366, 0.6162)  1 O 0.99
O (0.4075, 0.7419, 0.5475)  1 P 1.52
H (0.7124, 0.6131, 0.9933)  1 P 1.42
O (0.4191, 0.5206, 0.2874)  2 H 0.99-1.00
O (0.2870, 0.0296, 0.6259)  1 P 1.56
H (0.7345, 0.7312, 0.4458)  1 O 0.99
O (0.4617, 0.2075, 0.8633)  1 P 1.54, 1 H 1.71
H (0.1043, 0.9173, 0.2513)  1 O 1.00
O (0.2409, 0.0850, 0.0415)  1 P 1.52
O (0.8772, 0.2413, 0.0694)  2 H 0.98
Zn (0.0000, 0.0000, 0.0000)  6 O 2.04-2.18
H (0.8277, 0.5634, 0.3838)  1 O 0.99
H (0.4627, 0.4146, 0.2418)  1 O 0.99
O (0.2846, 0.9655, 0.3629)  1 P 1.55
P (0.2749, 0.8885, 0.5140)  1 H 1.42, 3 O 1.52-1.56
H (0.1030, 0.8303, 0.5265)  1 P 1.42
H (0.4607, 0.6210, 0.2310)  1 O 1.00
Zn (0.5000, 0.5000, 0.5000)  6 O 2.04-2.19
P (0.6282, 0.7791, 0.9915)  1 H 1.42, 3 O 1.52-1.57
H (0.0315, 0.5850, 0.2014)  1 O 0.99
H (0.7516, 0.2427, 0.0933)  1 O 0.98
O (0.1228, 0.7587, 0.9306)  2 H 0.98
O (0.5809, 0.4794, 0.7126)  2 H 0.99-1.00



[6]
Rb4LiZr3H2F19 | PBE | optimized geometry

Summary:
total magnetization = 0.0 μB per cell
calculated total energy = -665.02 eV/cell

Unit cell a=13.3838 b=11.6082 c=12.8173 alpha=69.38 beta=90.00 gamma=90.00
With the nearest neighbours (Å) after each atom.
Sites, in units of the cell vectors:
F (0.3708, 0.2228, 0.3463)  2 Zr 2.14-2.23, 1 F 2.37
F (0.7306, 0.3251, 0.6354)  1 Zr 2.06
F (0.3802, 0.5127, 0.0604)  1 H 1.36
Zr (0.1258, 0.2730, 0.7505)  7 F 2.06-2.18
F (0.1292, 0.7228, 0.8463)  2 Zr 2.14-2.23, 1 F 2.37
F (0.1263, 0.2119, 0.4215)  1 H 1.01
F (0.1273, 0.1040, 0.7129)  2 Zr 2.15-2.18
Rb (0.1203, 0.4631, 0.4159)  9 F 2.89-3.22
H (0.8760, 0.8724, 0.5179)  1 F 1.01
Rb (0.8669, 0.3441, 0.9278)  4 F 2.72-3.02
F (0.6326, 0.0121, 0.5653)  1 H 1.37
H (0.6204, 0.1293, 0.4901)  1 F 1.01
F (0.5204, 0.1288, 0.2644)  1 Li 1.93, 1 Zr 2.03
F (0.4784, 0.6714, 0.3638)  1 Zr 2.06
F (0.7221, 0.0838, 0.2756)  1 Zr 2.03
F (0.8737, 0.7881, 0.5785)  1 H 1.01
Rb (0.1140, 0.8495, 0.4223)  5 F 2.74-3.02
F (0.3678, 0.4143, 0.3949)  1 Zr 2.04
F (0.2165, 0.4159, 0.7753)  2 Zr 2.17-2.26, 1 F 2.40
H (0.8796, 0.6293, 0.9901)  1 F 1.01
F (0.9788, 0.6842, 0.3755)  1 Zr 2.06
Rb (0.6203, 0.0369, 0.0841)  9 F 2.89-3.22
F (0.3792, 0.0811, 0.1028)  1 Zr 2.04
F (0.1198, 0.0127, 0.5604)  1 H 1.36
Zr (0.8742, 0.7270, 0.2495)  7 F 2.06-2.18
F (0.7272, 0.1838, 0.8787)  1 Zr 2.06
F (0.6226, 0.7175, 0.8505)  2 Zr 2.16-2.23, 1 F 2.37
F (0.8708, 0.2772, 0.1537)  2 Zr 2.14-2.23, 1 F 2.37
F (0.1322, 0.9143, 0.8949)  1 Zr 2.04
F (0.0204, 0.3712, 0.2356)  1 Li 1.93, 1 Zr 2.03
F (0.7270, 0.3656, 0.2492)  1 Li 1.92, 1 Zr 2.03
Rb (0.1331, 0.6559, 0.0722)  4 F 2.72-3.02
F (0.2221, 0.4162, 0.2244)  1 Zr 2.03
Zr (0.6265, 0.9147, 0.7393)  8 F 2.03-2.27
F (0.6322, 0.5857, 0.6051)  1 Zr 2.04
Zr (0.3735, 0.0853, 0.2607)  8 F 2.03-2.27
Rb (0.3797, 0.9631, 0.9159)  9 F 2.89-3.22
Zr (0.3737, 0.4114, 0.2371)  7 F 2.03-2.16
Rb (0.6140, 0.6505, 0.0777)  5 F 2.74-3.02
Zr (0.6263, 0.5886, 0.7629)  7 F 2.03-2.16
Rb (0.8797, 0.5369, 0.5841)  9 F 2.89-3.22
F (0.2730, 0.6344, 0.7508)  1 Li 1.92, 1 Zr 2.03
Zr (0.1263, 0.9114, 0.7371)  7 F 2.03-2.16
F (0.9784, 0.8286, 0.1362)  1 Zr 2.06
F (0.6208, 0.9189, 0.8972)  1 Zr 2.04
Rb (0.3669, 0.1559, 0.5722)  4 F 2.72-3.02
H (0.1240, 0.1276, 0.4821)  1 F 1.01
H (0.3760, 0.6276, 0.9821)  1 F 1.01
F (0.2272, 0.3162, 0.6213)  1 Zr 2.06
F (0.3737, 0.7119, 0.9215)  1 H 1.01
F (0.7728, 0.6838, 0.3787)  1 Zr 2.06
F (0.5370, 0.0874, 0.7177)  2 Zr 2.16-2.27, 1 F 2.40
F (0.4630, 0.9126, 0.2823)  2 Zr 2.16-2.27, 1 F 2.40
F (0.1326, 0.4879, 0.9347)  1 H 1.37
Rb (0.8860, 0.1505, 0.5777)  5 F 2.74-3.02
F (0.2835, 0.9159, 0.2753)  2 Zr 2.17-2.26, 1 F 2.40
F (0.9743, 0.9143, 0.7361)  1 Zr 2.04, 1 Li 2.23
F (0.8678, 0.0857, 0.1051)  1 Zr 2.04
Zr (0.8735, 0.4147, 0.2393)  8 F 2.03-2.27
Li (0.8783, 0.7510, 0.7541)  3 F 1.92-2.14
F (0.0216, 0.1714, 0.8638)  1 Zr 2.06
Rb (0.1299, 0.0326, 0.0730)  9 F 2.91-3.21
F (0.6198, 0.4873, 0.9396)  1 H 1.36
F (0.8674, 0.5121, 0.0653)  1 H 1.37
F (0.6273, 0.3960, 0.7871)  2 Zr 2.15-2.18
F (0.3774, 0.2825, 0.1495)  2 Zr 2.16-2.23, 1 F 2.37
F (0.6263, 0.2881, 0.0785)  1 H 1.01
F (0.2270, 0.1344, 0.2508)  1 Li 1.92, 1 Zr 2.03
Rb (0.3701, 0.5326, 0.5730)  9 F 2.91-3.21
F (0.3674, 0.9879, 0.4347)  1 H 1.37
F (0.4743, 0.5857, 0.7639)  1 Zr 2.04, 1 Li 2.23
F (0.9630, 0.5874, 0.2177)  2 Zr 2.16-2.27, 1 F 2.40
F (0.6110, 0.2151, 0.4346)  1 H 1.01
F (0.0370, 0.4126, 0.7823)  2 Zr 2.16-2.27, 1 F 2.40
F (0.5212, 0.1842, 0.8755)  1 Zr 2.06
F (0.6292, 0.7772, 0.6537)  2 Zr 2.14-2.23, 1 F 2.37
F (0.3890, 0.7849, 0.5654)  1 H 1.01
F (0.7779, 0.5838, 0.7756)  1 Zr 2.03
F (0.5257, 0.4143, 0.2361)  1 Zr 2.04, 1 Li 2.23
F (0.8802, 0.9873, 0.4396)  1 H 1.36
Li (0.6217, 0.2510, 0.2541)  3 F 1.92-2.14
F (0.4796, 0.8712, 0.7356)  1 Li 1.93, 1 Zr 2.03
Rb (0.8701, 0.9674, 0.9270)  9 F 2.91-3.21
H (0.1204, 0.3707, 0.0099)  1 F 1.01
Rb (0.3860, 0.3495, 0.9223)  5 F 2.74-3.02
Li (0.3783, 0.7490, 0.7459)  3 F 1.92-2.14
F (0.7835, 0.5841, 0.2247)  2 Zr 2.17-2.26, 1 F 2.40
F (0.4788, 0.8158, 0.1245)  1 Zr 2.06
F (0.1110, 0.2849, 0.0654)  1 H 1.01
H (0.6240, 0.3724, 0.0179)  1 F 1.01
Zr (0.8737, 0.0886, 0.2629)  7 F 2.03-2.16
F (0.9796, 0.6288, 0.7644)  1 Li 1.93, 1 Zr 2.03
Zr (0.1265, 0.5853, 0.7607)  8 F 2.03-2.27
F (0.7694, 0.8251, 0.1354)  1 Zr 2.06
F (0.5216, 0.3286, 0.6362)  1 Zr 2.06
F (0.8774, 0.2175, 0.3505)  2 Zr 2.16-2.23, 1 F 2.37
F (0.7730, 0.8656, 0.7492)  1 Li 1.92, 1 Zr 2.03
F (0.2694, 0.6749, 0.3646)  1 Zr 2.06
F (0.8727, 0.8960, 0.2871)  2 Zr 2.15-2.18
H (0.3796, 0.8707, 0.5099)  1 F 1.01
F (0.2728, 0.8162, 0.1213)  1 Zr 2.06
F (0.2779, 0.9162, 0.7244)  1 Zr 2.03
F (0.8890, 0.7151, 0.9346)  1 H 1.01
F (0.1208, 0.5811, 0.6028)  1 Zr 2.04
Zr (0.6258, 0.2270, 0.7495)  7 F 2.06-2.18
Li (0.1217, 0.2490, 0.2459)  3 F 1.92-2.14
F (0.8792, 0.4189, 0.3972)  1 Zr 2.04
F (0.2306, 0.1749, 0.8646)  1 Zr 2.06
F (0.0212, 0.3158, 0.6245)  1 Zr 2.06
F (0.3727, 0.6040, 0.2129)  2 Zr 2.15-2.18
F (0.7165, 0.0841, 0.7247)  2 Zr 2.17-2.26, 1 F 2.40
F (0.1226, 0.7825, 0.6495)  2 Zr 2.16-2.23, 1 F 2.37
F (0.0257, 0.0857, 0.2639)  1 Zr 2.04, 1 Li 2.23
Zr (0.3742, 0.7730, 0.2505)  7 F 2.06-2.18
Rb (0.6331, 0.8441, 0.4278)  4 F 2.72-3.02
Rb (0.6299, 0.4674, 0.4270)  9 F 2.91-3.21